Computed, not measured: an optimized crystal structure of OsN2 at the PBE level of DFT.

Structure (extended XYZ):
```
6
Lattice="-2.6972 -1.1262 0.8155 2.4172 -1.8264 -0.1733 1.5702 1.4016 7.1284" Properties=species:S:1:pos:R:3 pbc="T T T"
Os 1.8900 -0.5418 5.5026
Os -0.5999 -1.0092 2.2680
N 1.4319 1.2782 6.5009
N 0.6469 0.5774 2.9367
N 0.1382 0.1234 0.6275
N 0.9233 0.8242 4.1917
```

Values from the calculation:
SG = No. 194
size of the total moment = 0.007 μB/f.u.
distance to the lowest polymorph of the same formula = 0.598 eV/atom
E_tot = -50.4 eV per cell
formation energy = 0.660 eV per atom

=====

Computed, not measured: an optimized crystal structure of Ce2Ga12Cu at the PBE level of DFT.

Structure (extended XYZ):
```
30
Lattice="6.1475 0.0000 0.0000 0.0000 6.1475 0.0000 0.0000 0.0000 15.3253" Properties=species:S:1:pos:R:3 pbc="T T T"
Ga 3.0737 3.0737 10.0975
Ga 4.6090 4.6122 1.3214
Ga 4.1256 1.0518 6.5630
Ga 3.0737 3.0737 2.7812
Ga 0.0000 0.0000 5.2278
Ga 4.1256 5.0956 8.7622
Ga 1.0518 4.1256 8.7622
Ga 1.5384 4.6122 14.0039
Ga 2.0219 1.0518 8.7622
Ga 3.0737 3.0737 5.2278
Ga 5.0956 4.1256 6.5630
Ga 1.0518 2.0219 6.5630
Ga 1.5353 1.5384 14.0039
Ga 4.6122 4.6090 14.0039
Ga 1.5384 1.5353 1.3214
Ga 5.0956 2.0219 8.7622
Ga 2.0219 5.0956 6.5630
Ga 0.0000 0.0000 10.0975
Ga 1.5353 4.6090 1.3214
Ga 3.0737 3.0737 12.5441
Ga 4.6122 1.5384 1.3214
Ga 4.6090 1.5353 14.0039
Ga 0.0000 0.0000 12.5441
Ga 0.0000 0.0000 2.7812
Ce 0.0000 3.0737 3.7319
Ce 0.0000 3.0737 11.5934
Ce 3.0737 0.0000 11.5934
Ce 3.0737 0.0000 3.7319
Cu 3.0737 0.0000 0.0000
Cu 0.0000 3.0737 0.0000
```

Values from the calculation:
SG = No. 125
E_tot = -114.7 eV per cell
formation energy = -0.336 eV per atom

=====

Computed, not measured: an optimized crystal structure of Mo3Pd2N at the PBE level of DFT.

Structure (extended XYZ):
```
24
Lattice="6.8782 0.0000 0.0000 0.0000 6.8782 0.0000 0.0000 0.0000 6.8782" Properties=species:S:1:pos:R:3 pbc="T T T"
N 0.8598 2.5793 4.2989
N 6.0184 6.0184 6.0184
N 4.2989 0.8598 2.5793
N 2.5793 4.2989 0.8598
Mo 3.1134 6.0184 2.0452
Mo 0.8598 5.4844 0.3257
Mo 3.7648 2.5793 1.3939
Mo 4.2989 4.8330 6.5525
Mo 5.4844 0.3257 0.8598
Mo 6.5525 4.2989 4.8330
Mo 2.5793 1.3939 3.7648
Mo 2.0452 3.1134 6.0184
Mo 4.8330 6.5525 4.2989
Mo 1.3939 3.7648 2.5793
Mo 6.0184 2.0452 3.1134
Mo 0.3257 0.8598 5.4844
Pd 6.4608 3.0217 0.4175
Pd 0.4175 6.4608 3.0217
Pd 5.5761 4.7412 2.1370
Pd 4.7412 2.1370 5.5761
Pd 3.0217 0.4175 6.4608
Pd 1.3021 1.3021 1.3021
Pd 2.1370 5.5761 4.7412
Pd 3.8566 3.8566 3.8566
```

Values from the calculation:
SG = No. 213
E_tot = -210.1 eV per cell
formation energy = -0.274 eV per atom

=====

Computed, not measured: an optimized crystal structure of TbPrMn4 at the PBE level of DFT.

Structure (extended XYZ):
```
6
Lattice="0.6402 2.2409 4.6850 -3.9121 -0.0380 3.4749 0.3445 -2.9689 4.2951" Properties=species:S:1:pos:R:3 pbc="T T T"
Pr -0.7319 -0.1915 3.1138
Mn 0.1448 -0.4607 6.0449
Mn -2.1577 -1.6133 5.4328
Mn -2.0081 1.0218 5.6300
Mn -1.8339 -0.4799 7.8024
Tb 0.0000 0.0000 0.0000
```

Values from the calculation:
SG = No. 216
size of the total moment = 7.416 μB/f.u.
E_tot = -44.6 eV per cell
formation energy = 0.241 eV per atom